No. 1
Sr5Pb2N6 PBE optimized geometry; space-group type = C2/c (15); formation enthalpy at 0 K = -0.3144 eV/atom; volume = 547 Å³ per cell
1.0
5.8314 -3.2374 0.0000
5.8314 3.2374 0.0000
-1.9203 0.0000 14.4874
Sr Pb N
10 4 12
Direct
0.1262 0.8738 0.7500
0.1625 0.6579 0.9815
0.2517 0.4508 0.2852
0.3421 0.8375 0.5185
0.4508 0.2517 0.7852
0.5492 0.7483 0.2148
0.6579 0.1625 0.4815
0.7483 0.5492 0.7148
0.8375 0.3421 0.0185
0.8738 0.1262 0.2500
0.1601 0.4177 0.5856
0.4177 0.1601 0.0856
0.5823 0.8399 0.9144
0.8399 0.5823 0.4144
0.1462 0.1693 0.6690
0.1693 0.1462 0.1690
0.2220 0.2576 0.4378
0.2576 0.2220 0.9378
0.4217 0.5111 0.6326
0.4889 0.5783 0.8674
0.5111 0.4217 0.1326
0.5783 0.4889 0.3674
0.7425 0.7780 0.0622
0.7780 0.7425 0.5622
0.8307 0.8538 0.8310
0.8538 0.8307 0.3310



No. 2
SrPb2N2 PBE optimized geometry; space-group type = P-3m1 (164); formation enthalpy at 0 K = -0.2553 eV/atom; volume = 108 Å³ per cell
1.0
3.6187 0.0000 0.0000
-1.8093 3.1339 0.0000
0.0000 0.0000 9.5128
Sr Pb N
1 2 2
Direct
0.0000 0.0000 0.0000
0.3333 0.6667 0.3063
0.6667 0.3333 0.6937
0.3333 0.6667 0.8286
0.6667 0.3333 0.1714



No. 3
Ti3Pb3N5 PBE optimized geometry; space-group type = P-1 (2); formation enthalpy at 0 K = -0.7119 eV/atom; volume = 393 Å³ per cell
1.0
6.0615 0.0000 0.0000
-1.5530 7.5441 0.0000
-1.2469 -2.1001 8.6008
Ti Pb N
6 6 10
Direct
0.0928 0.1914 0.0398
0.1274 0.4495 0.7331
0.3009 0.4998 0.3974
0.6991 0.5002 0.6026
0.8726 0.5505 0.2669
0.9072 0.8086 0.9602
0.2320 0.0060 0.4404
0.3527 0.8665 0.7941
0.3924 0.6703 0.1001
0.6076 0.3297 0.8999
0.6473 0.1335 0.2059
0.7680 0.9940 0.5596
0.0495 0.3420 0.2340
0.1549 0.6917 0.3980
0.2038 0.3558 0.9101
0.2052 0.9695 0.0418
0.3661 0.4533 0.6052
0.6339 0.5467 0.3948
0.7948 0.0305 0.9582
0.7962 0.6442 0.0899
0.8451 0.3083 0.6020
0.9505 0.6580 0.7660



No. 4
TiPb7N6 PBE optimized geometry; space-group type = Pbcn (60); formation enthalpy at 0 K = 0.1072 eV/atom; volume = 1221 Å³ per cell
1.0
12.8433 0.0000 0.0000
0.0000 7.3313 0.0000
0.0000 0.0000 12.9686
Ti Pb N
4 28 24
Direct
0.0000 0.1647 0.2500
0.0000 0.8353 0.7500
0.5000 0.3353 0.7500
0.5000 0.6647 0.2500
0.0000 0.4315 0.7500
0.0000 0.5685 0.2500
0.0050 0.2314 0.5254
0.0050 0.7686 0.0254
0.2085 0.1777 0.1251
0.2085 0.8223 0.6251
0.2420 0.0277 0.8635
0.2420 0.9723 0.3635
0.2580 0.4723 0.3635
0.2580 0.5277 0.8635
0.2915 0.3223 0.6251
0.2915 0.6777 0.1251
0.4950 0.2686 0.0254
0.4950 0.7314 0.5254
0.5000 0.0685 0.2500
0.5000 0.9315 0.7500
0.5050 0.2686 0.4746
0.5050 0.7314 0.9746
0.7085 0.3223 0.8749
0.7085 0.6777 0.3749
0.7420 0.4723 0.1365
0.7420 0.5277 0.6365
0.7580 0.0277 0.6365
0.7580 0.9723 0.1365
0.7915 0.1777 0.3749
0.7915 0.8223 0.8749
0.9950 0.2314 0.9746
0.9950 0.7686 0.4746
0.0364 0.0447 0.1192
0.0364 0.9553 0.6192
0.1133 0.3328 0.2713
0.1133 0.6672 0.7713
0.1750 0.2875 0.9619
0.1750 0.7125 0.4619
0.3250 0.2125 0.4619
0.3250 0.7875 0.9619
0.3867 0.1672 0.7713
0.3867 0.8328 0.2713
0.4636 0.4553 0.6192
0.4636 0.5447 0.1192
0.5364 0.4553 0.8808
0.5364 0.5447 0.3808
0.6133 0.1672 0.7287
0.6133 0.8328 0.2287
0.6750 0.2125 0.0381
0.6750 0.7875 0.5381
0.8250 0.2875 0.5381
0.8250 0.7125 0.0381
0.8867 0.3328 0.2287
0.8867 0.6672 0.7287
0.9636 0.0447 0.3808
0.9636 0.9553 0.8808



No. 5
TiPb3N3 PBE optimized geometry; space-group type = P6_3/m (176); formation enthalpy at 0 K = -0.1357 eV/atom; volume = 364 Å³ per cell
1.0
10.6054 0.0000 0.0000
-5.3027 9.1846 0.0000
0.0000 0.0000 3.7386
Ti Pb N
2 6 6
Direct
0.3333 0.6667 0.2500
0.6667 0.3333 0.7500
0.0434 0.3814 0.7500
0.3381 0.9566 0.7500
0.3814 0.3381 0.2500
0.6186 0.6619 0.7500
0.6619 0.0434 0.2500
0.9566 0.6186 0.2500
0.1290 0.5414 0.2500
0.4124 0.8710 0.2500
0.4586 0.5876 0.2500
0.5414 0.4124 0.7500
0.5876 0.1290 0.7500
0.8710 0.4586 0.7500



No. 6
Ti2Pb5N6 PBE optimized geometry; space-group type = C2/c (15); formation enthalpy at 0 K = -0.2386 eV/atom; volume = 560 Å³ per cell
1.0
4.6596 -3.9456 0.0000
4.6596 3.9456 0.0000
-0.0823 0.0000 15.2421
Ti Pb N
4 10 12
Direct
0.0931 0.3839 0.0731
0.3839 0.0931 0.5731
0.6161 0.9069 0.4269
0.9069 0.6161 0.9269
0.1108 0.1731 0.8308
0.1731 0.1108 0.3308
0.1873 0.7015 0.4854
0.2985 0.8127 0.0146
0.4958 0.5042 0.2500
0.5042 0.4958 0.7500
0.7015 0.1873 0.9854
0.8127 0.2985 0.5146
0.8269 0.8892 0.6692
0.8892 0.8269 0.1692
0.0354 0.0873 0.0920
0.0873 0.0354 0.5920
0.1844 0.4303 0.9545
0.2238 0.5870 0.1500
0.4130 0.7762 0.3500
0.4303 0.1844 0.4545
0.5697 0.8156 0.5455
0.5870 0.2238 0.6500
0.7762 0.4130 0.8500
0.8156 0.5697 0.0455
0.9127 0.9646 0.4080
0.9646 0.9127 0.9080



No. 7
VPb3N3 PBE optimized geometry; space-group type = P2_1/m (11); formation enthalpy at 0 K = 0.0055 eV/atom; volume = 342 Å³ per cell
1.0
9.2745 0.0000 0.0000
0.0000 4.5812 0.0000
-4.6355 0.0000 8.0398
V Pb N
2 6 6
Direct
0.1667 0.2500 0.3333
0.8333 0.7500 0.6667
0.0953 0.2500 0.9054
0.1901 0.7500 0.5953
0.4056 0.7500 0.3101
0.5944 0.2500 0.6899
0.8099 0.2500 0.4047
0.9047 0.7500 0.0946
0.0302 0.2500 0.1133
0.0830 0.2500 0.4699
0.3869 0.2500 0.4170
0.6131 0.7500 0.5830
0.9170 0.7500 0.5301
0.9698 0.7500 0.8867



No. 8
V2Pb3N4 PBE optimized geometry; space-group type = Pnna (52); formation enthalpy at 0 K = -0.2501 eV/atom; volume = 717 Å³ per cell
1.0
6.6767 0.0000 0.0000
0.0000 10.3772 0.0000
0.0000 0.0000 10.3471
V Pb N
8 12 16
Direct
0.2142 0.2500 0.2500
0.2500 0.0000 0.2422
0.2500 0.5000 0.2578
0.2858 0.7500 0.2500
0.7142 0.2500 0.7500
0.7500 0.0000 0.7578
0.7500 0.5000 0.7422
0.7858 0.7500 0.7500
0.2040 0.1626 0.8922
0.2040 0.3374 0.6078
0.2500 0.0000 0.6079
0.2500 0.5000 0.8921
0.2960 0.6626 0.6078
0.2960 0.8374 0.8922
0.7040 0.1626 0.1078
0.7040 0.3374 0.3922
0.7500 0.0000 0.3921
0.7500 0.5000 0.1079
0.7960 0.6626 0.3922
0.7960 0.8374 0.1078
0.0931 0.1147 0.3327
0.0931 0.3853 0.1673
0.1477 0.6344 0.3556
0.1477 0.8656 0.1444
0.3523 0.1344 0.1444
0.3523 0.3656 0.3556
0.4069 0.6147 0.1673
0.4069 0.8853 0.3327
0.5931 0.1147 0.6673
0.5931 0.3853 0.8327
0.6477 0.6344 0.6444
0.6477 0.8656 0.8556
0.8523 0.1344 0.8556
0.8523 0.3656 0.6444
0.9069 0.6147 0.8327
0.9069 0.8853 0.6673



No. 9
Y2Pb3N4 PBE optimized geometry; space-group type = C2/c (15); formation enthalpy at 0 K = -0.4310 eV/atom; volume = 409 Å³ per cell
1.0
5.6167 -5.0903 0.0000
5.6167 5.0903 0.0000
-1.2519 0.0000 7.1520
Y Pb N
4 6 8
Direct
0.1380 0.3201 0.4475
0.3201 0.1380 0.9475
0.6799 0.8620 0.0525
0.8620 0.6799 0.5525
0.0866 0.9134 0.2500
0.1868 0.6225 0.8995
0.3775 0.8132 0.6005
0.6225 0.1868 0.3995
0.8132 0.3775 0.1005
0.9134 0.0866 0.7500
0.0969 0.1942 0.1372
0.1616 0.6101 0.5681
0.1942 0.0969 0.6372
0.3899 0.8384 0.9319
0.6101 0.1616 0.0681
0.8058 0.9031 0.3628
0.8384 0.3899 0.4319
0.9031 0.8058 0.8628



No. 10
Y3Pb3N5 PBE optimized geometry; space-group type = P-1 (2); formation enthalpy at 0 K = -0.6399 eV/atom; volume = 446 Å³ per cell
1.0
6.4421 0.0000 0.0000
0.2347 6.9999 0.0000
0.2073 3.0037 9.8886
Y Pb N
6 6 10
Direct
0.1606 0.4501 0.2298
0.1815 0.1616 0.9255
0.2743 0.5397 0.5741
0.7257 0.4603 0.4259
0.8185 0.8384 0.0745
0.8394 0.5499 0.7702
0.2170 0.0730 0.5587
0.2517 0.8704 0.2624
0.3481 0.6818 0.8969
0.6519 0.3182 0.1031
0.7483 0.1296 0.7376
0.7830 0.9270 0.4413
0.0326 0.7781 0.6080
0.0823 0.2911 0.7032
0.1763 0.8259 0.0502
0.2949 0.3628 0.0409
0.3907 0.5390 0.3567
0.6093 0.4610 0.6433
0.7051 0.6372 0.9591
0.8237 0.1741 0.9498
0.9177 0.7089 0.2968
0.9674 0.2219 0.3920



No. 11
ZnPbN2 PBE optimized geometry; space-group type = Pna2_1 (33); formation enthalpy at 0 K = 0.2936 eV/atom; volume = 242 Å³ per cell
1.0
6.0949 0.0000 0.0000
0.0000 6.9761 0.0000
0.0000 0.0000 5.7019
Zn Pb N
4 4 8
Direct
0.0817 0.1254 0.0000
0.4183 0.6254 0.5000
0.5817 0.3746 0.0000
0.9183 0.8746 0.5000
0.0922 0.6240 0.0007
0.4078 0.1240 0.5007
0.5922 0.8760 0.0007
0.9078 0.3760 0.5007
0.0700 0.1136 0.3624
0.0928 0.6363 0.3920
0.4072 0.1363 0.8920
0.4300 0.6136 0.8624
0.5700 0.3864 0.3624
0.5928 0.8637 0.3920
0.9072 0.3637 0.8920
0.9300 0.8864 0.8624



No. 12
ZrPbN2 PBE optimized geometry; space-group type = P4/nmm (129); formation enthalpy at 0 K = -0.7925 eV/atom; volume = 136 Å³ per cell
1.0
4.0784 0.0000 0.0000
0.0000 4.0784 0.0000
0.0000 0.0000 8.1533
Zr Pb N
2 2 4
Direct
0.2500 0.2500 0.0986
0.7500 0.7500 0.9014
0.2500 0.2500 0.6341
0.7500 0.7500 0.3659
0.2500 0.2500 0.3526
0.2500 0.7500 0.0000
0.7500 0.2500 0.0000
0.7500 0.7500 0.6474



Copy entry 3 word for word.
Ti3Pb3N5 PBE optimized geometry; space-group type = P-1 (2); formation enthalpy at 0 K = -0.7119 eV/atom; volume = 393 Å³ per cell
1.0
6.0615 0.0000 0.0000
-1.5530 7.5441 0.0000
-1.2469 -2.1001 8.6008
Ti Pb N
6 6 10
Direct
0.0928 0.1914 0.0398
0.1274 0.4495 0.7331
0.3009 0.4998 0.3974
0.6991 0.5002 0.6026
0.8726 0.5505 0.2669
0.9072 0.8086 0.9602
0.2320 0.0060 0.4404
0.3527 0.8665 0.7941
0.3924 0.6703 0.1001
0.6076 0.3297 0.8999
0.6473 0.1335 0.2059
0.7680 0.9940 0.5596
0.0495 0.3420 0.2340
0.1549 0.6917 0.3980
0.2038 0.3558 0.9101
0.2052 0.9695 0.0418
0.3661 0.4533 0.6052
0.6339 0.5467 0.3948
0.7948 0.0305 0.9582
0.7962 0.6442 0.0899
0.8451 0.3083 0.6020
0.9505 0.6580 0.7660



Question: What is the formula in the eleventh record?
Answer: ZnPbN2